Computed, not measured: Se after structural relaxation at the meta-GGA r2SCAN level of DFT.

The structure belongs to space group P2_1/c (No. 14); the cell edges are 9.631, 8.272 and 13.280 Å and the angles 90.00°, 93.36° and 90.00°. The inequivalent atoms are Se at (0.059, 0.089, 0.359), Se at (0.149, 0.164, 0.094), Se at (0.164, 0.171, 0.917), Se at (0.238, 0.596, 0.837), Se at (0.242, 0.730, 0.478), Se at (0.332, 0.526, 0.211), Se at (0.363, 0.244, 0.665) and Se at (0.427, 0.690, 0.089).

As for the formation energy: 0 kJ/mol of formula units.

---

Computed, not measured: Se after structural relaxation at the meta-GGA r2SCAN level of DFT.

The structure belongs to space group P3_121 (No. 152); the cell edges are 4.5048, 4.5048 and 4.9788 Å and the angles 90.00°, 90.00° and 120.00°. The inequivalent atoms are Se at (0.0000, 0.2179, 0.1667).

As for the formation energy: 0 kJ/mol of formula units.